Material: Ca
Method: DFT, PBE
State: optimized geometry

Cell: 3.8856 3.8856 12.8206 Å, 90.00 90.00 120.00°
Space group P6_3/mmc (No. 194)
Unique sites:
Ca 0.0000 0.0000 0.0000 (multiplicity 2)
Ca 0.3333 0.6667 0.2500 (multiplicity 2)

Computed properties:
DFT formation energy: 0.6 kJ/mol of formula units


Material: Ca
Method: DFT, PBE
State: optimized geometry

Cell: 4.490 4.490 4.195 Å, 90.00 90.00 90.00°
Space group I4/mmm (No. 139)
Unique sites:
Ca 0.000 0.000 0.000 (multiplicity 2)

Computed properties:
DFT formation energy: 2.0 kJ/mol of formula units


Material: Ca
Method: DFT, PBE
State: optimized geometry

Cell: 3.892 6.786 6.430 Å, 90.00 90.00 90.00°
Space group Cmcm (No. 63)
Unique sites:
Ca 0.000 0.159 0.250 (multiplicity 4)

Computed properties:
DFT formation energy: 0.7 kJ/mol of formula units


Material: CaCd3
Method: DFT, PBE
State: optimized geometry

Cell: 6.7581 6.7581 5.0935 Å, 90.00 90.00 120.00°
Space group P6_3/mmc (No. 194)
Unique sites:
Ca 0.3333 0.6667 0.2500 (multiplicity 2)
Cd 0.1599 0.3198 0.7500 (multiplicity 6)

Computed properties:
DFT formation energy: -102.6 kJ/mol of formula units


Material: CaCd2
Method: DFT, PBE
State: optimized geometry

Cell: 5.031 7.335 8.693 Å, 90.00 90.00 90.00°
Space group Imma (No. 74)
Unique sites:
Ca 0.000 0.250 0.025 (multiplicity 4)
Cd 0.000 0.030 0.666 (multiplicity 8)

Computed properties:
DFT formation energy: -95.7 kJ/mol of formula units


Material: Ca3Cd
Method: DFT, PBE
State: optimized geometry

Cell: 5.160 5.160 5.160 Å, 90.00 90.00 90.00°
Space group Pm-3m (No. 221)
Unique sites:
Ca 0.000 0.000 0.500 (multiplicity 3)
Cd 0.500 0.500 0.500 (multiplicity 1)

Computed properties:
DFT formation energy: -47.6 kJ/mol of formula units


Material: CaCd6
Method: DFT, PBE
State: optimized geometry

Cell: 15.870 15.935 16.076 Å, 90.00 90.00 90.00°
Space group Immm (No. 71)
Unique sites:
Ca 0.000 0.191 0.197 (multiplicity 8)
Ca 0.190 0.300 0.500 (multiplicity 8)
Ca 0.204 0.500 0.188 (multiplicity 8)
Cd 0.000 0.000 0.089 (multiplicity 4)
Cd 0.000 0.234 0.407 (multiplicity 8)
Cd 0.000 0.316 0.000 (multiplicity 4)
Cd 0.000 0.403 0.500 (multiplicity 4)
Cd 0.000 0.404 0.156 (multiplicity 8)
Cd 0.000 0.500 0.311 (multiplicity 4)
Cd 0.092 0.000 0.413 (multiplicity 8)
Cd 0.096 0.000 0.239 (multiplicity 8)
Cd 0.096 0.500 0.000 (multiplicity 4)
Cd 0.097 0.158 0.000 (multiplicity 8)
Cd 0.118 0.342 0.301 (multiplicity 16)
Cd 0.156 0.500 0.405 (multiplicity 8)
Cd 0.157 0.301 0.117 (multiplicity 16)
Cd 0.162 0.163 0.336 (multiplicity 16)
Cd 0.184 0.000 0.000 (multiplicity 4)
Cd 0.201 0.121 0.155 (multiplicity 16)
Cd 0.242 0.097 0.500 (multiplicity 8)

Computed properties:
DFT formation energy: -126.9 kJ/mol of formula units


Material: CaCd2
Method: DFT, PBE
State: optimized geometry

Cell: 6.1060 6.1060 9.6300 Å, 90.00 90.00 120.00°
Space group P6_3/mmc (No. 194)
Unique sites:
Ca 0.3333 0.6667 0.0602 (multiplicity 4)
Cd 0.0000 0.0000 0.0000 (multiplicity 2)
Cd 0.1709 0.3417 0.7500 (multiplicity 6)

Computed properties:
DFT formation energy: -92.1 kJ/mol of formula units


Q: Which value of DFT formation energy does entry 2 give?
A: 2.0 kJ/mol of formula units


What did the seventh record say?
Material: CaCd6
Method: DFT, PBE
State: optimized geometry

Cell: 15.870 15.935 16.076 Å, 90.00 90.00 90.00°
Space group Immm (No. 71)
Unique sites:
Ca 0.000 0.191 0.197 (multiplicity 8)
Ca 0.190 0.300 0.500 (multiplicity 8)
Ca 0.204 0.500 0.188 (multiplicity 8)
Cd 0.000 0.000 0.089 (multiplicity 4)
Cd 0.000 0.234 0.407 (multiplicity 8)
Cd 0.000 0.316 0.000 (multiplicity 4)
Cd 0.000 0.403 0.500 (multiplicity 4)
Cd 0.000 0.404 0.156 (multiplicity 8)
Cd 0.000 0.500 0.311 (multiplicity 4)
Cd 0.092 0.000 0.413 (multiplicity 8)
Cd 0.096 0.000 0.239 (multiplicity 8)
Cd 0.096 0.500 0.000 (multiplicity 4)
Cd 0.097 0.158 0.000 (multiplicity 8)
Cd 0.118 0.342 0.301 (multiplicity 16)
Cd 0.156 0.500 0.405 (multiplicity 8)
Cd 0.157 0.301 0.117 (multiplicity 16)
Cd 0.162 0.163 0.336 (multiplicity 16)
Cd 0.184 0.000 0.000 (multiplicity 4)
Cd 0.201 0.121 0.155 (multiplicity 16)
Cd 0.242 0.097 0.500 (multiplicity 8)

Computed properties:
DFT formation energy: -126.9 kJ/mol of formula units